Model one:
A plane-wave DFT calculation with GGA+U was carried out for a relaxed Sr2NiMoO6 crystal.

abc: 5.642 5.642 5.642
angles: 60.00 60.00 60.00
Fractional coordinates of all 10 atoms:
O1 0.743 0.743 0.257
Mo1 0.500 0.500 0.500
O2 0.257 0.743 0.743
O3 0.743 0.257 0.257
O4 0.743 0.257 0.743
O5 0.257 0.743 0.257
Sr1 0.250 0.250 0.250
O6 0.257 0.257 0.743
Sr2 0.750 0.750 0.750
Ni1 0.000 0.000 0.000

Model two:
A plane-wave DFT calculation with GGA+U was carried out for a relaxed Sr2NiMoO6 crystal.

abc: 5.612 5.656 9.746
angles: 106.07 73.27 119.75
Fractional coordinates of all 20 atoms:
Sr1 0.375 0.625 0.875
Sr2 0.125 0.875 0.625
O1 0.658 0.859 0.141
O2 0.121 0.363 0.121
O3 0.682 0.400 0.600
Mo1 0.000 0.000 0.000
O4 0.879 0.637 0.879
Sr3 0.875 0.125 0.375
O5 0.158 0.359 0.641
O6 0.342 0.141 0.859
Sr4 0.625 0.375 0.125
Ni1 0.250 0.750 0.250
O7 0.379 0.137 0.379
O8 0.318 0.600 0.400
Mo2 0.500 0.500 0.500
O9 0.842 0.641 0.359
O10 0.818 0.100 0.900
O11 0.621 0.863 0.621
Ni2 0.750 0.250 0.750
O12 0.182 0.900 0.100

Short version: model one is the least stable of them.

Model one:
A plane-wave DFT calculation with GGA+U was carried out for a relaxed Mo3O8 crystal.

abc: 6.251 6.251 10.420
angles: 71.57 71.57 59.40
Fractional coordinates of all 22 atoms:
O1 0.837 0.408 0.856
O2 0.647 0.088 0.655
O3 0.121 0.121 0.133
O4 0.912 0.353 0.345
O5 0.093 0.093 0.646
O6 0.163 0.592 0.144
O7 0.353 0.912 0.345
Mo1 0.763 0.240 0.767
O8 0.408 0.837 0.856
O9 0.879 0.879 0.867
Mo2 0.240 0.763 0.767
Mo3 0.760 0.237 0.233
O10 0.592 0.163 0.144
O11 0.594 0.594 0.157
Mo4 0.237 0.760 0.233
O12 0.088 0.647 0.655
O13 0.631 0.631 0.631
Mo5 0.754 0.754 0.720
O14 0.406 0.406 0.843
O15 0.369 0.369 0.369
O16 0.907 0.907 0.354
Mo6 0.246 0.246 0.280

Model two:
A plane-wave DFT calculation with GGA+U was carried out for a relaxed Mo3O8 crystal.

abc: 6.030 6.030 6.011
angles: 61.90 61.90 61.42
Fractional coordinates of all 11 atoms:
O1 0.240 0.802 0.756
O2 0.764 0.764 0.247
O3 0.802 0.240 0.756
O4 0.246 0.246 0.307
Mo1 0.500 0.000 0.500
O5 0.760 0.198 0.244
O6 0.236 0.236 0.753
Mo2 0.000 0.500 0.500
O7 0.754 0.754 0.693
O8 0.198 0.760 0.244
Mo3 0.000 0.000 0.000

Model three:
A plane-wave DFT calculation with GGA+U was carried out for a relaxed Mo3O8 crystal.

abc: 6.015 6.015 6.015
angles: 61.65 61.65 61.65
Fractional coordinates of all 11 atoms:
O1 0.754 0.754 0.195
O2 0.242 0.242 0.242
Mo1 0.500 0.000 0.000
O3 0.195 0.754 0.754
Mo2 0.000 0.000 0.500
O4 0.758 0.758 0.758
O5 0.805 0.246 0.246
O6 0.754 0.195 0.754
O7 0.246 0.246 0.805
O8 0.246 0.805 0.246
Mo3 0.000 0.500 0.000

Short version: model three is the least stable of them.

Model one:
A plane-wave DFT calculation with GGA+U was carried out for a relaxed Mo3O8 crystal.

abc: 6.509 6.509 5.065
angles: 71.22 71.22 55.66
Fractional coordinates of all 11 atoms:
O1 0.323 0.865 0.607
Mo1 0.290 0.710 0.000
O2 0.616 0.616 0.057
O3 0.865 0.323 0.607
Mo2 0.710 0.290 0.000
O4 0.384 0.384 0.943
O5 0.903 0.903 0.903
Mo3 0.000 0.000 0.500
O6 0.097 0.097 0.097
O7 0.135 0.677 0.393
O8 0.677 0.135 0.393

Model two:
A plane-wave DFT calculation with GGA+U was carried out for a relaxed Mo3O8 crystal.

abc: 6.146 6.146 9.876
angles: 90.00 90.00 120.00
Fractional coordinates of all 22 atoms:
O1 0.851 0.701 0.152
O2 0.000 0.000 0.359
Mo1 0.168 0.832 0.248
Mo2 0.337 0.168 0.748
Mo3 0.168 0.337 0.248
O3 0.000 0.000 0.859
O4 0.149 0.851 0.652
Mo4 0.663 0.832 0.248
O5 0.040 0.520 0.353
O6 0.960 0.480 0.853
Mo5 0.832 0.168 0.748
O7 0.701 0.851 0.652
O8 0.299 0.149 0.152
O9 0.333 0.667 0.135
O10 0.520 0.040 0.853
O11 0.149 0.299 0.652
O12 0.851 0.149 0.152
O13 0.480 0.520 0.353
O14 0.667 0.333 0.635
O15 0.480 0.960 0.353
Mo6 0.832 0.663 0.748
O16 0.520 0.480 0.853

Short version: model two is the least stable of them.

Model one:
A plane-wave DFT calculation with GGA+U was carried out for a relaxed MoO5 crystal.

abc: 6.067 3.947 7.753
angles: 89.99 90.00 90.00
Fractional coordinates of all 12 atoms:
Mo1 0.000 0.868 0.275
O1 0.500 0.800 0.363
O2 0.000 0.940 0.045
O3 0.320 0.975 0.805
O4 0.500 0.781 0.746
O5 0.680 0.975 0.805
O6 0.000 0.443 0.795
O7 0.000 0.423 0.301
O8 0.680 0.942 0.273
Mo2 0.000 0.992 0.775
O9 0.320 0.942 0.273
O10 0.000 0.921 0.545

Model two:
A plane-wave DFT calculation with GGA+U was carried out for a relaxed MoO5 crystal.

abc: 6.135 3.977 7.562
angles: 89.90 90.00 90.00
Fractional coordinates of all 12 atoms:
O1 0.307 0.975 0.257
O2 0.000 0.000 0.500
O3 0.693 0.975 0.257
O4 0.000 0.536 0.751
Mo1 0.000 0.906 0.249
O5 0.693 0.025 0.743
O6 0.307 0.025 0.743
O7 0.500 0.500 0.000
O8 0.500 0.500 0.500
O9 0.000 0.000 0.000
Mo2 0.000 0.094 0.751
O10 0.000 0.464 0.249

Short version: model two is the least stable of them.

Model one:
A plane-wave DFT calculation with GGA+U was carried out for a relaxed Mo3P4O16 crystal.

abc: 5.157 8.789 15.513
angles: 61.35 90.00 90.00
Fractional coordinates of all 46 atoms:
O1 0.839 0.534 0.931
O2 0.339 0.466 0.569
O3 0.110 0.324 0.252
O4 0.495 0.094 0.209
O5 0.210 0.584 0.356
O6 0.161 0.466 0.069
Mo1 0.970 0.803 0.202
P1 0.499 0.462 0.654
O7 0.976 0.746 0.477
Mo2 0.000 0.500 0.500
O8 0.610 0.676 0.248
O9 0.890 0.676 0.748
O10 0.527 0.356 0.354
O11 0.024 0.254 0.523
Mo3 0.500 0.500 0.000
O12 0.005 0.094 0.709
O13 0.710 0.416 0.144
O14 0.280 0.954 0.118
O15 0.473 0.644 0.646
Mo4 0.030 0.197 0.798
O16 0.524 0.746 0.977
Mo5 0.530 0.803 0.702
O17 0.734 0.000 0.606
O18 0.973 0.356 0.854
P2 0.501 0.538 0.346
P3 0.495 0.073 0.115
P4 0.999 0.538 0.846
P5 0.005 0.073 0.615
P6 0.995 0.927 0.385
O19 0.027 0.644 0.146
P7 0.001 0.462 0.154
O20 0.234 0.000 0.894
O21 0.720 0.046 0.882
O22 0.505 0.906 0.791
O23 0.266 0.000 0.394
O24 0.476 0.254 0.023
O25 0.290 0.584 0.856
O26 0.766 0.000 0.106
O27 0.661 0.534 0.431
O28 0.995 0.906 0.291
Mo6 0.470 0.197 0.298
O29 0.220 0.954 0.618
O30 0.790 0.416 0.644
P8 0.505 0.927 0.885
O31 0.390 0.324 0.752
O32 0.780 0.046 0.382

Model two:
A plane-wave DFT calculation with GGA+U was carried out for a relaxed Mo3P4O16 crystal.

abc: 13.566 8.028 9.079
angles: 89.46 85.60 90.98
Fractional coordinates of all 69 atoms:
Mo1 0.836 0.364 0.272
O1 0.242 0.559 0.912
P1 0.387 0.190 0.809
O2 0.572 0.911 0.067
O3 0.922 0.934 0.716
O4 0.746 0.068 0.610
Mo2 0.837 0.507 0.677
O5 0.241 0.874 0.995
O6 0.768 0.359 0.478
O7 0.756 0.119 0.016
O8 0.428 0.135 0.654
O9 0.606 0.297 0.000
P2 0.609 0.788 0.189
O10 0.722 0.792 0.179
O11 0.912 0.633 0.827
O12 0.238 0.929 0.414
Mo3 0.495 0.473 0.008
O13 0.582 0.550 0.572
O14 0.399 0.699 0.988
Mo4 0.832 0.975 0.156
O15 0.261 0.648 0.181
P3 0.948 0.699 0.355
Mo5 0.501 0.858 0.896
P4 0.617 0.663 0.683
O16 0.098 0.448 0.751
O17 0.760 0.365 0.836
O18 0.907 0.638 0.507
O19 0.391 0.818 0.522
O20 0.423 0.437 0.436
O21 0.264 0.310 0.346
O22 0.912 0.873 0.316
O23 0.904 0.875 0.994
O24 0.097 0.392 0.166
O25 0.569 0.854 0.340
O26 0.095 0.089 0.258
P5 0.059 0.217 0.141
O27 0.604 0.180 0.464
O28 0.759 0.415 0.108
O29 0.939 0.324 0.647
O30 0.428 0.070 0.926
O31 0.062 0.820 0.861
P6 0.716 0.168 0.486
Mo6 0.170 0.534 0.326
O32 0.085 0.368 0.470
P7 0.947 0.819 0.834
Mo7 0.166 0.142 0.433
O33 0.102 0.148 0.643
O34 0.407 0.366 0.164
Mo8 0.164 0.998 0.839
O35 0.418 0.128 0.343
O36 0.765 0.127 0.321
O37 0.238 0.634 0.500
O38 0.568 0.611 0.160
Mo9 0.497 0.999 0.493
O39 0.940 0.209 0.171
O40 0.241 0.867 0.686
O41 0.730 0.685 0.690
O42 0.565 0.851 0.684
P8 0.277 0.809 0.530
O43 0.426 0.367 0.843
P9 0.274 0.691 0.009
O44 0.274 0.181 0.817
O45 0.577 0.628 0.854
P10 0.719 0.295 0.985
O46 0.063 0.706 0.351
O47 0.083 0.147 0.988
P11 0.053 0.338 0.647
P12 0.391 0.314 0.331
O48 0.916 0.575 0.237

Model three:
A plane-wave DFT calculation with GGA+U was carried out for a relaxed Mo3P4O16 crystal.

abc: 7.921 7.798 10.474
angles: 85.18 90.00 90.00
Fractional coordinates of all 46 atoms:
O1 0.143 0.692 0.291
O2 0.920 0.115 0.336
P1 0.205 0.557 0.394
Mo1 0.974 0.765 0.635
O3 0.190 0.661 0.017
O4 0.867 0.827 0.981
P2 0.671 0.456 0.094
O5 0.420 0.885 0.664
O6 0.879 0.517 0.629
P3 0.705 0.443 0.606
P4 0.171 0.544 0.906
O7 0.573 0.589 0.585
O8 0.117 0.987 0.622
Mo2 0.008 0.763 0.126
O9 0.367 0.173 0.019
O10 0.643 0.308 0.709
O11 0.306 0.170 0.249
Mo3 0.866 0.355 0.319
Mo4 0.474 0.235 0.365
O12 0.639 0.320 0.220
O13 0.690 0.339 0.983
O14 0.706 0.353 0.472
Mo5 0.366 0.645 0.681
P5 0.819 0.961 0.865
O15 0.864 0.503 0.151
O16 0.364 0.497 0.849
O17 0.822 0.845 0.241
P6 0.298 0.048 0.645
O18 0.617 0.013 0.378
O19 0.139 0.680 0.780
O20 0.359 0.159 0.525
O21 0.322 0.155 0.759
O22 0.379 0.483 0.371
O23 0.631 0.013 0.885
P7 0.319 0.039 0.135
O24 0.206 0.647 0.528
O25 0.058 0.397 0.921
O26 0.073 0.411 0.415
P8 0.798 0.952 0.355
Mo6 0.508 0.237 0.874
O27 0.444 0.902 0.164
O28 0.944 0.098 0.836
O29 0.131 0.987 0.115
O30 0.859 0.841 0.475
O31 0.558 0.603 0.079
O32 0.806 0.830 0.751

Short version: model three is the least stable of them.